Record 1
Computed, not measured: crystalline Ca2IrPtO6 at its relaxed geometry at the PBE-GGA level of DFT.

extended XYZ file:
```
10
Lattice="4.9624 -1.6037 0.0000 4.9624 1.6037 0.0000 -0.0284 0.0000 7.4142" Properties=species:S:1:pos:R:3 pbc="T T T"
Ca 2.4688 0.0000 1.8244
Ca 7.4275 0.0000 5.5897
Ir 4.9624 0.0000 0.0000
Pt 4.9482 0.0000 3.7071
O 1.2089 0.0000 7.0411
O 1.2691 0.0000 4.0389
O 4.1336 0.0000 5.5846
O 5.7628 0.0000 1.8295
O 8.6272 0.0000 3.3753
O 8.6875 0.0000 0.3731
```

* magnetization: 0.1000 μB per atom
* DFT formation energy: -2047 meV/atom
* E_tot: -6.50 eV per atom

***

Record 2
Computed, not measured: crystalline Ba4Sb2O9 at its relaxed geometry at the PBE-GGA level of DFT.

extended XYZ file:
```
30
Lattice="6.1041 0.0000 0.0000 -3.0520 5.2863 0.0000 0.0000 0.0000 17.0624" Properties=species:S:1:pos:R:3 pbc="T T T"
Ba 0.0000 0.0000 0.0000
Ba 0.0000 0.0000 4.2656
Ba 0.0000 0.0000 8.5312
Ba 0.0000 0.0000 12.7968
Ba 0.0000 3.5242 2.1916
Ba 0.0000 3.5242 6.3396
Ba 3.0520 1.7621 10.7228
Ba 3.0520 1.7621 14.8708
Sb 0.0000 3.5242 11.3130
Sb 0.0000 3.5242 14.2806
Sb 3.0520 1.7621 2.7818
Sb 3.0520 1.7621 5.7494
O -1.3457 2.7472 12.7968
O 0.0000 1.8094 10.4107
O 0.0000 1.8094 15.1829
O -1.4850 4.3816 10.4107
O -1.4850 4.3816 15.1829
O 1.5670 0.9047 1.8795
O 1.5670 0.9047 6.6517
O 1.3457 2.7472 12.7968
O 0.0000 5.0781 12.7968
O 3.0520 0.2082 4.2656
O 1.7063 2.5390 4.2656
O 1.4850 4.3816 10.4107
O 1.4850 4.3816 15.1829
O 4.5371 0.9047 1.8795
O 4.5371 0.9047 6.6517
O 3.0520 3.4769 1.8795
O 3.0520 3.4769 6.6517
O 4.3978 2.5390 4.2656
```

* DFT formation energy: -2649 meV/atom
* E_tot: -6.27 eV per atom

***

Record 3
Computed, not measured: crystalline DyNp3 at its relaxed geometry at the PBE-GGA level of DFT.

extended XYZ file:
```
4
Lattice="-2.2674 2.2674 4.5967 2.2674 -2.2674 4.5967 2.2674 2.2674 -4.5967" Properties=species:S:1:pos:R:3 pbc="T T T"
Dy 0.0000 0.0000 0.0000
Np 2.2674 0.0000 2.2983
Np 0.0000 0.0000 4.5967
Np 0.0000 2.2674 2.2983
```

* magnetization: 2.5857 μB per atom
* DFT formation energy: 693 meV/atom
* E_tot: -10.17 eV per atom

***

Record 4
Computed, not measured: crystalline Na9Sr2Nd9Ti20O60 at its relaxed geometry at the PBE-GGA level of DFT.

extended XYZ file:
```
100
Lattice="5.4868 0.0000 0.0000 0.0000 38.7883 0.0000 -0.0021 0.0000 5.5224" Properties=species:S:1:pos:R:3 pbc="T T T"
Na 0.0000 0.0000 0.0000
Na 5.4850 7.7812 0.0393
Na 5.4850 31.0071 0.0393
Na 2.7033 19.3942 2.8580
Na 2.7823 0.0000 2.7603
Na 2.8101 7.7639 2.7790
Na 2.8101 31.0244 2.7790
Na 5.4405 15.4969 5.3916
Na 5.4405 23.2915 5.3916
Sr 2.7372 11.5630 2.8164
Sr 2.7372 27.2253 2.8164
Nd 0.0423 11.5500 0.1276
Nd 0.0423 27.2383 0.1276
Nd 0.0560 3.8658 0.1669
Nd 0.0560 34.9226 0.1669
Nd 0.0592 19.3942 0.1854
Nd 2.7401 3.8635 2.9280
Nd 2.7401 34.9248 2.9280
Nd 2.7968 15.5555 2.5144
Nd 2.7968 23.2328 2.5144
Ti 5.4846 5.8864 2.8248
Ti 5.4846 32.9020 2.8248
Ti 0.0117 9.5682 2.8236
Ti 0.0117 29.2201 2.8236
Ti 2.7121 17.4698 5.4657
Ti 2.7121 21.3185 5.4657
Ti 2.7249 13.5874 5.4670
Ti 2.7249 25.2010 5.4670
Ti 2.7660 9.5586 0.0412
Ti 2.7660 29.2297 0.0412
Ti 2.7957 1.8400 0.0570
Ti 2.7957 36.9483 0.0570
Ti 2.8051 5.8794 0.0611
Ti 2.8051 32.9089 0.0611
Ti 5.4571 17.4515 2.7595
Ti 5.4571 21.3368 2.7595
Ti 5.4720 13.5884 2.7406
Ti 5.4720 25.1999 2.7406
Ti 5.4788 1.8411 2.8176
Ti 5.4788 36.9472 2.8176
O 0.4073 0.0000 2.7513
O 0.4075 7.7292 2.7557
O 0.4075 31.0591 2.7557
O 0.4624 15.5279 2.7946
O 0.4624 23.2604 2.7946
O 1.2129 13.2504 4.2633
O 1.2129 25.5379 4.2633
O 1.2347 17.7951 4.2805
O 1.2347 20.9932 4.2805
O 1.2556 2.3132 4.1998
O 1.2570 5.4079 4.2001
O 1.2570 33.3804 4.2001
O 1.2556 36.4751 4.1998
O 1.2745 10.0218 4.2044
O 1.2745 28.7665 4.2044
O 1.4222 9.9821 1.3604
O 1.4222 28.8063 1.3604
O 1.4887 13.3352 1.4476
O 1.4887 25.4532 1.4476
O 1.5371 2.3118 1.4384
O 1.5371 36.4765 1.4384
O 1.5429 5.4146 1.4405
O 1.5399 17.7465 1.4703
O 1.5399 21.0418 1.4703
O 1.5429 33.3737 1.4405
O 2.3788 0.0000 5.5105
O 2.3940 15.5377 0.0350
O 2.3940 23.2506 0.0350
O 2.3963 7.7223 5.4948
O 2.3963 31.0660 5.4948
O 3.1624 11.6854 5.4624
O 3.1624 27.1029 5.4624
O 3.1723 3.8642 5.3742
O 3.1723 34.9241 5.3742
O 3.2205 19.3942 5.4073
O 3.9290 13.8845 3.9046
O 3.9290 24.9038 3.9046
O 3.9717 1.7466 3.9042
O 3.9722 5.9752 3.8986
O 3.9722 32.8131 3.8986
O 3.9717 37.0417 3.9042
O 3.9811 17.1271 3.9326
O 3.9811 21.6613 3.9326
O 4.0573 9.5086 4.0221
O 4.0573 29.2797 4.0221
O 4.2072 9.5154 1.2518
O 4.2072 29.2729 1.2518
O 4.2183 13.8824 1.2379
O 4.2183 24.9059 1.2379
O 4.2785 17.1754 1.2238
O 4.2785 21.6129 1.2238
O 4.3052 1.7448 1.1427
O 4.3052 37.0435 1.1427
O 4.3149 5.9848 1.1386
O 4.3149 32.8035 1.1386
O 5.1099 3.8633 2.6076
O 5.1099 34.9250 2.6076
O 5.1425 19.3942 2.6427
O 5.2073 11.6730 2.6267
O 5.2073 27.1153 2.6267
```

* magnetization: 0.0000 μB per atom
* DFT formation energy: -3434 meV/atom
* E_tot: -8.15 eV per atom

***

Record 5
Computed, not measured: crystalline NdP4NO12 at its relaxed geometry at the PBE-GGA level of DFT.

extended XYZ file:
```
36
Lattice="4.0240 -6.3189 0.0000 4.0240 6.3189 0.0000 -3.7596 0.0000 10.0796" Properties=species:S:1:pos:R:3 pbc="T T T"
Nd 1.2042 4.8180 7.5597
Nd 3.0840 -4.8180 2.5199
P 2.0834 0.2815 0.5855
P 1.8006 2.1578 5.0421
P 0.2036 -0.2815 5.6253
P 0.6078 2.1578 10.0773
P 3.6805 -2.1578 0.0023
P 4.0847 0.2815 4.4543
P 2.4877 -2.1578 5.0375
P 2.2049 -0.2815 9.4941
N 3.0840 4.0144 2.5199
N 1.2042 -4.0144 7.5597
O 0.8741 2.4781 3.9120
O -2.2690 0.1370 9.2903
O -0.3891 -0.1370 4.2506
O 1.1296 0.3684 1.7356
O 0.2132 3.2167 9.0946
O -0.7502 -0.3684 6.7754
O 2.9985 1.5908 0.6448
O 2.1953 3.2167 6.0247
O 1.2640 0.8979 5.9169
O 3.1696 1.5908 4.3950
O -1.0057 -2.4781 8.9517
O 1.1445 0.8979 9.2024
O 3.1438 -0.8979 0.8771
O 5.2940 2.4781 1.1278
O 1.1187 -1.5908 5.6846
O 3.0243 -0.8979 4.1626
O 2.0930 -3.2167 4.0548
O 1.2898 -1.5908 9.4347
O 5.0385 0.3684 3.3042
O 4.0751 -3.2167 0.9850
O 3.1587 -0.3684 8.3439
O 4.6774 0.1370 5.8290
O 6.5572 -0.1370 0.7892
O 3.4142 -2.4781 6.1676
```

* magnetization: 0.1111 μB per atom
* DFT formation energy: -2327 meV/atom
* E_tot: -7.10 eV per atom

***

Record 6
Computed, not measured: crystalline TiZnO2 at its relaxed geometry at the PBE-GGA level of DFT.

extended XYZ file:
```
16
Lattice="2.8224 0.0000 0.0000 -1.3602 8.7863 0.0000 -1.4073 -0.6397 8.9153" Properties=species:S:1:pos:R:3 pbc="T T T"
Ti -0.6793 3.3958 2.8555
Ti 0.7238 1.5098 0.1123
Ti -0.6689 6.6367 8.8030
Ti 0.7342 4.7508 6.0598
Zn -2.0299 8.2625 5.9824
Zn -0.6799 6.4140 3.1584
Zn 0.7348 1.7325 5.7568
Zn 2.0848 -0.1159 2.9328
O -2.0829 5.7811 7.5813
O -0.6685 6.9107 1.1067
O -0.6779 3.4038 6.2722
O -0.6782 5.6413 5.0625
O 0.7331 2.5053 3.8527
O 0.7328 4.7428 2.6431
O 0.7234 1.2358 7.8086
O 2.1378 2.3654 1.3340
```

* magnetization: 0.0010 μB per atom
* DFT formation energy: -2224 meV/atom
* E_tot: -6.64 eV per atom

***

Record 7
Computed, not measured: crystalline MgSc2S4 at its relaxed geometry at the PBE-GGA level of DFT.

extended XYZ file:
```
28
Lattice="12.1054 0.0000 0.0000 0.0000 3.6387 0.0000 0.0000 0.0000 12.5803" Properties=species:S:1:pos:R:3 pbc="T T T"
Mg 1.5140 0.9097 0.9422
Mg 4.5388 2.7290 7.2324
Mg 7.5667 0.9097 5.3480
Mg 10.5915 2.7290 11.6382
Sc 1.3263 2.7290 5.2901
Sc 1.7742 2.7290 10.0370
Sc 4.2786 0.9097 3.7468
Sc 4.7264 0.9097 11.5803
Sc 7.3791 2.7290 1.0001
Sc 7.8269 2.7290 8.8335
Sc 10.3313 0.9097 2.5434
Sc 10.7791 0.9097 7.2903
S 0.3071 0.9097 11.1470
S 0.3975 2.7290 7.7864
S 2.6260 2.7290 3.0316
S 3.0105 0.9097 6.0158
S 3.0422 2.7290 12.3060
S 3.4268 0.9097 9.3218
S 5.6552 0.9097 1.4962
S 5.7456 2.7290 4.8568
S 6.3598 0.9097 7.7235
S 6.4502 2.7290 11.0841
S 8.6787 2.7290 3.2586
S 9.0632 0.9097 0.2743
S 9.0949 2.7290 6.5645
S 9.4795 0.9097 9.5487
S 11.7079 0.9097 4.7940
S 11.7983 2.7290 1.4333
```

* magnetization: 0.0001 μB per atom
* ΔE to the lowest computed polymorph: 50.0 kJ/mol of formula units
* DFT formation energy: -1996 meV/atom
* E_tot: -6.11 eV per atom

***

Record 8
Computed, not measured: crystalline LiBH4O4 at its relaxed geometry at the PBE-GGA level of DFT.

extended XYZ file:
```
80
Lattice="7.8444 0.0000 0.0000 0.0000 8.6348 0.0000 0.0000 0.0000 9.2661" Properties=species:S:1:pos:R:3 pbc="T T T"
Li 1.0028 1.0856 1.8416
Li 1.0028 3.2319 6.4747
Li 2.9194 5.4030 1.8416
Li 2.9194 7.5493 6.4747
Li 4.9250 1.0856 2.7915
Li 4.9250 3.2319 7.4245
Li 6.8416 5.4030 2.7915
Li 6.8416 7.5493 7.4245
B 1.3470 5.6961 8.4210
B 1.3470 7.2562 3.7879
B 2.5752 1.3787 8.4210
B 2.5752 2.9388 3.7879
B 5.2692 5.6961 5.4782
B 5.2692 7.2562 0.8452
B 6.4974 1.3787 5.4782
B 6.4974 2.9388 0.8452
H 0.1282 0.9963 6.8989
H 0.1282 3.3211 2.2659
H 0.6036 1.8392 8.5929
H 0.6036 2.4782 3.9599
H 0.8227 4.5797 0.8009
H 0.8227 8.3725 5.4339
H 1.1184 5.2808 4.3387
H 1.1184 7.6714 8.9717
H 2.8038 0.9634 4.3387
H 2.8038 3.3540 8.9717
H 3.0995 0.2623 0.8009
H 3.0995 4.0551 5.4339
H 3.3186 6.1566 8.5929
H 3.3186 6.7956 3.9599
H 3.7940 5.3137 6.8989
H 3.7940 7.6385 2.2659
H 4.0504 0.9963 7.0002
H 4.0504 3.3211 2.3672
H 4.5258 1.8392 5.3063
H 4.5258 2.4782 0.6732
H 4.7449 4.5797 3.8322
H 4.7449 8.3725 8.4653
H 5.0406 5.2808 0.2944
H 5.0406 7.6714 4.9274
H 6.7260 0.9634 0.2944
H 6.7260 3.3540 4.9274
H 7.0217 0.2623 3.8322
H 7.0217 4.0551 8.4653
H 7.2408 6.1566 5.3063
H 7.2408 6.7956 0.6732
H 7.7162 5.3137 7.0002
H 7.7162 7.6385 2.3672
O 0.5312 6.0038 4.0157
O 0.5312 6.9485 8.6488
O 0.5495 4.8212 7.5438
O 0.5495 8.1310 2.9108
O 1.2619 1.7776 7.8407
O 1.2619 2.5398 3.2077
O 1.6484 4.9659 0.4101
O 1.6484 7.9864 5.0431
O 2.2738 0.6484 0.4101
O 2.2738 3.6690 5.0431
O 2.6603 6.0951 7.8407
O 2.6603 6.8572 3.2077
O 3.3727 0.5038 7.5438
O 3.3727 3.8136 2.9108
O 3.3910 1.6863 4.0157
O 3.3910 2.6311 8.6488
O 4.4534 6.0038 0.6173
O 4.4534 6.9485 5.2504
O 4.4717 4.8212 6.3553
O 4.4717 8.1310 1.7223
O 5.1841 1.7776 6.0584
O 5.1841 2.5398 1.4254
O 5.5706 4.9659 4.2230
O 5.5706 7.9864 8.8560
O 6.1960 0.6484 4.2230
O 6.1960 3.6690 8.8560
O 6.5825 6.0951 6.0584
O 6.5825 6.8572 1.4254
O 7.2949 0.5038 6.3553
O 7.2949 3.8136 1.7223
O 7.3132 1.6863 0.6173
O 7.3132 2.6311 5.2504
```

* magnetization: 0.0000 μB per atom
* DFT formation energy: -1863 meV/atom
* E_tot: -5.78 eV per atom